A plane-wave DFT calculation with GGA-PBE was carried out for a relaxed structure of PrF3.

abc: 7.1465 7.1465 7.3345
angles: 90.00 90.00 120.00
Last column: nearest neighbours and their distance in Å.
Element x y z (fractional)
Pr 0.0000 0.3440 0.2500  9 F 2.40-2.60
Pr 0.0000 0.6560 0.7500  9 F 2.40-2.60
Pr 0.3440 0.0000 0.2500  9 F 2.40-2.60
Pr 0.3440 0.3440 0.7500  9 F 2.40-2.60
Pr 0.6560 0.0000 0.7500  9 F 2.40-2.60
Pr 0.6560 0.6560 0.2500  9 F 2.40-2.60
F 0.0000 0.0000 0.2500  3 Pr 2.46
F 0.0000 0.0000 0.7500  3 Pr 2.46
F 0.0624 0.3717 0.9195  3 Pr 2.45-2.60, 5 F 2.60-2.73
F 0.0624 0.6907 0.4195  3 Pr 2.45-2.60, 5 F 2.60-2.73
F 0.3093 0.3717 0.4195  3 Pr 2.45-2.60, 5 F 2.60-2.73
F 0.3093 0.9376 0.9195  3 Pr 2.45-2.60, 5 F 2.60-2.73
F 0.3333 0.6667 0.1831  3 Pr 2.40, 3 F 2.67
F 0.3333 0.6667 0.6831  3 Pr 2.40, 3 F 2.67
F 0.3717 0.0624 0.5805  3 Pr 2.45-2.60, 5 F 2.60-2.73
F 0.3717 0.3093 0.0805  3 Pr 2.45-2.60, 5 F 2.60-2.73
F 0.6283 0.6907 0.9195  3 Pr 2.45-2.60, 5 F 2.60-2.73
F 0.6283 0.9376 0.4195  3 Pr 2.45-2.60, 5 F 2.60-2.73
F 0.6667 0.3333 0.3169  3 Pr 2.40, 3 F 2.67
F 0.6667 0.3333 0.8169  3 Pr 2.40, 3 F 2.67
F 0.6907 0.0624 0.0805  3 Pr 2.45-2.60, 5 F 2.60-2.73
F 0.6907 0.6283 0.5805  3 Pr 2.45-2.60, 5 F 2.60-2.73
F 0.9376 0.3093 0.5805  3 Pr 2.45-2.60, 5 F 2.60-2.73
F 0.9376 0.6283 0.0805  3 Pr 2.45-2.60, 5 F 2.60-2.73

Computed properties:
Volume, Å³ per atom: 13.517
DFT formation energy, meV/atom: -4410

---

A plane-wave DFT calculation with GGA-PBE was carried out for a relaxed structure of PrF3.

abc: 7.1570 7.1570 7.1471
angles: 90.00 90.00 120.00
Last column: nearest neighbours and their distance in Å.
Element x y z (fractional)
Pr 0.0000 0.3301 0.0000  8 F 2.39-2.64
Pr 0.0000 0.6699 0.5000  8 F 2.39-2.64
Pr 0.3301 0.0000 0.0000  8 F 2.39-2.64
Pr 0.3301 0.3301 0.5000  8 F 2.39-2.64
Pr 0.6699 0.0000 0.5000  8 F 2.39-2.64
Pr 0.6699 0.6699 0.0000  8 F 2.39-2.64
F 0.0000 0.0000 0.2500  6 F 2.54
F 0.0000 0.0000 0.7500  6 F 2.54
F 0.0100 0.3492 0.3346  5 F 2.37-2.65, 3 Pr 2.39-2.64
F 0.0100 0.6607 0.1654  5 F 2.37-2.65, 3 Pr 2.39-2.64
F 0.3333 0.6667 0.5229  3 Pr 2.40, 6 F 2.61-2.66
F 0.3333 0.6667 0.9771  3 Pr 2.40, 6 F 2.61-2.66
F 0.3393 0.3492 0.1654  5 F 2.37-2.65, 3 Pr 2.39-2.64
F 0.3393 0.9900 0.3346  5 F 2.37-2.65, 3 Pr 2.39-2.64
F 0.3492 0.0100 0.6654  5 F 2.37-2.65, 3 Pr 2.39-2.64
F 0.3492 0.3393 0.8346  5 F 2.37-2.65, 3 Pr 2.39-2.64
F 0.6508 0.6607 0.3346  5 F 2.37-2.65, 3 Pr 2.39-2.64
F 0.6508 0.9900 0.1654  5 F 2.37-2.65, 3 Pr 2.39-2.64
F 0.6607 0.0100 0.8346  5 F 2.37-2.65, 3 Pr 2.39-2.64
F 0.6607 0.6508 0.6654  5 F 2.37-2.65, 3 Pr 2.39-2.64
F 0.6667 0.3333 0.0229  3 Pr 2.40, 6 F 2.61-2.66
F 0.6667 0.3333 0.4771  3 Pr 2.40, 6 F 2.61-2.66
F 0.9900 0.3393 0.6654  5 F 2.37-2.65, 3 Pr 2.39-2.64
F 0.9900 0.6508 0.8346  5 F 2.37-2.65, 3 Pr 2.39-2.64

Computed properties:
Total moment, μB/f.u.: 0.00
Volume, Å³ per atom: 13.210
DFT formation energy, meV/atom: -4244

---

A plane-wave DFT calculation with GGA-PBE was carried out for a relaxed structure of PrF3.

abc: 7.1574 7.1574 7.1405
angles: 90.00 90.00 120.00
Last column: nearest neighbours and their distance in Å.
Element x y z (fractional)
Pr 0.0000 0.3297 0.2500  6 F 2.39-2.62
Pr 0.0000 0.6703 0.7500  6 F 2.39-2.62
Pr 0.3297 0.0000 0.2500  6 F 2.39-2.62
Pr 0.3297 0.3297 0.7500  6 F 2.39-2.62
Pr 0.6703 0.0000 0.7500  6 F 2.39-2.62
Pr 0.6703 0.6703 0.2500  6 F 2.39-2.62
F 0.0000 0.0000 0.0000  6 F 2.53
F 0.0000 0.0000 0.5000  6 F 2.53
F 0.0000 0.3439 0.5842  5 F 2.37-2.63, 2 Pr 2.39-2.62
F 0.0000 0.3439 0.9158  5 F 2.37-2.63, 2 Pr 2.39-2.62
F 0.0000 0.6561 0.0842  5 F 2.37-2.63, 2 Pr 2.39-2.62
F 0.0000 0.6561 0.4158  5 F 2.37-2.63, 2 Pr 2.39-2.62
F 0.3333 0.6667 0.2500  3 Pr 2.40, 6 F 2.63
F 0.3333 0.6667 0.7500  3 Pr 2.40, 6 F 2.63
F 0.3439 0.0000 0.5842  5 F 2.37-2.63, 2 Pr 2.39-2.62
F 0.3439 0.0000 0.9158  5 F 2.37-2.63, 2 Pr 2.39-2.62
F 0.3439 0.3439 0.0842  5 F 2.37-2.63, 2 Pr 2.39-2.62
F 0.3439 0.3439 0.4158  5 F 2.37-2.63, 2 Pr 2.39-2.62
F 0.6561 0.0000 0.0842  5 F 2.37-2.63, 2 Pr 2.39-2.62
F 0.6561 0.0000 0.4158  5 F 2.37-2.63, 2 Pr 2.39-2.62
F 0.6561 0.6561 0.5842  5 F 2.37-2.63, 2 Pr 2.39-2.62
F 0.6561 0.6561 0.9158  5 F 2.37-2.63, 2 Pr 2.39-2.62
F 0.6667 0.3333 0.2500  3 Pr 2.40, 6 F 2.63
F 0.6667 0.3333 0.7500  3 Pr 2.40, 6 F 2.63

Computed properties:
Total moment, μB/f.u.: 0.00
Volume, Å³ per atom: 13.199
DFT formation energy, meV/atom: -4246

---

What did the second record say?
A plane-wave DFT calculation with GGA-PBE was carried out for a relaxed structure of PrF3.

abc: 7.1570 7.1570 7.1471
angles: 90.00 90.00 120.00
Last column: nearest neighbours and their distance in Å.
Element x y z (fractional)
Pr 0.0000 0.3301 0.0000  8 F 2.39-2.64
Pr 0.0000 0.6699 0.5000  8 F 2.39-2.64
Pr 0.3301 0.0000 0.0000  8 F 2.39-2.64
Pr 0.3301 0.3301 0.5000  8 F 2.39-2.64
Pr 0.6699 0.0000 0.5000  8 F 2.39-2.64
Pr 0.6699 0.6699 0.0000  8 F 2.39-2.64
F 0.0000 0.0000 0.2500  6 F 2.54
F 0.0000 0.0000 0.7500  6 F 2.54
F 0.0100 0.3492 0.3346  5 F 2.37-2.65, 3 Pr 2.39-2.64
F 0.0100 0.6607 0.1654  5 F 2.37-2.65, 3 Pr 2.39-2.64
F 0.3333 0.6667 0.5229  3 Pr 2.40, 6 F 2.61-2.66
F 0.3333 0.6667 0.9771  3 Pr 2.40, 6 F 2.61-2.66
F 0.3393 0.3492 0.1654  5 F 2.37-2.65, 3 Pr 2.39-2.64
F 0.3393 0.9900 0.3346  5 F 2.37-2.65, 3 Pr 2.39-2.64
F 0.3492 0.0100 0.6654  5 F 2.37-2.65, 3 Pr 2.39-2.64
F 0.3492 0.3393 0.8346  5 F 2.37-2.65, 3 Pr 2.39-2.64
F 0.6508 0.6607 0.3346  5 F 2.37-2.65, 3 Pr 2.39-2.64
F 0.6508 0.9900 0.1654  5 F 2.37-2.65, 3 Pr 2.39-2.64
F 0.6607 0.0100 0.8346  5 F 2.37-2.65, 3 Pr 2.39-2.64
F 0.6607 0.6508 0.6654  5 F 2.37-2.65, 3 Pr 2.39-2.64
F 0.6667 0.3333 0.0229  3 Pr 2.40, 6 F 2.61-2.66
F 0.6667 0.3333 0.4771  3 Pr 2.40, 6 F 2.61-2.66
F 0.9900 0.3393 0.6654  5 F 2.37-2.65, 3 Pr 2.39-2.64
F 0.9900 0.6508 0.8346  5 F 2.37-2.65, 3 Pr 2.39-2.64

Computed properties:
Total moment, μB/f.u.: 0.00
Volume, Å³ per atom: 13.210
DFT formation energy, meV/atom: -4244

---

> The lowest DFT formation energy belongs to which entry?

number 1